Entry 1:
A plane-wave DFT calculation with PBE was carried out for a relaxed structure of Sr3Ni2N4.

Computed properties:
M_tot (μB per formula unit): 0.125
Symmetry: C2/c (15)
Crystal system: monoclinic
Corrected total energy (MP2020 scheme) (Ry/atom): -0.4344
ΔE_f (eV per atom): -0.36
Electronic total energy (eV per atom): -5.75
Polymorph energy (0 for the lowest one) (meV per atom): 27

Cell: 7.028 8.697 5.700 Å, 90.00 93.74 128.22°
Fractional coordinates of all 18 atoms:
N: 0.345 0.733 0.103
Ni: 0.412 0.834 0.420
Sr: 0.256 0.260 0.567
Sr: 0.000 0.402 0.250
Ni: 0.588 0.166 0.580
Ni: 0.412 0.578 0.920
N: 0.248 0.938 0.526
Sr: 0.256 0.996 0.067
N: 0.345 0.613 0.603
N: 0.655 0.267 0.897
N: 0.248 0.310 0.026
Ni: 0.588 0.422 0.080
Sr: 0.000 0.598 0.750
Sr: 0.744 0.004 0.933
N: 0.752 0.062 0.474
N: 0.655 0.387 0.397
N: 0.752 0.690 0.974
Sr: 0.744 0.740 0.433


Entry 2:
A plane-wave DFT calculation with PBE was carried out for a relaxed structure of PrAs3.

Computed properties:
M_tot (μB per formula unit): 0.002
Symmetry: Pm-3m (221)
Crystal system: cubic
ΔE_f (eV per atom): -0.53
Electronic total energy (eV per atom): -5.22

Cell: 4.469 4.469 4.469 Å, 90.00 90.00 90.00°
Fractional coordinates of all 4 atoms:
As: 0.500 0.500 0.000
Pr: 0.000 0.000 0.000
As: 0.500 0.000 0.500
As: 0.000 0.500 0.500


Entry 3:
A plane-wave DFT calculation with PBE was carried out for a relaxed structure of Cs2NdAgBr6.

Computed properties:
M_tot (μB per formula unit): 0.001
Symmetry: Fm-3m (225)
Crystal system: cubic
Corrected total energy (MP2020 scheme) (Ry/atom): -0.2809
ΔE_f (eV per atom): -1.90
Electronic total energy (eV per atom): -3.50

Cell: 8.169 8.169 8.169 Å, 60.00 60.00 60.00°
Fractional coordinates of all 10 atoms:
Ag: 0.000 0.000 0.000
Br: 0.250 0.250 0.750
Nd: 0.500 0.500 0.500
Br: 0.750 0.250 0.250
Cs: 0.750 0.750 0.750
Br: 0.750 0.750 0.250
Br: 0.750 0.250 0.750
Cs: 0.250 0.250 0.250
Br: 0.250 0.750 0.750
Br: 0.250 0.750 0.250


Entry 4:
A plane-wave DFT calculation with PBE was carried out for a relaxed structure of Ga4SiO8.

Computed properties:
M_tot (μB per formula unit): 0.001
Symmetry: C2/m (12)
Crystal system: monoclinic
Corrected total energy (MP2020 scheme) (Ry/atom): -0.5016
ΔE_f (eV per atom): -2.43
Electronic total energy (eV per atom): -6.40

Cell: 6.401 6.401 9.408 Å, 55.03 55.03 26.94°
Fractional coordinates of all 13 atoms:
O: 0.646 0.646 0.537
Ga: 0.461 0.461 0.722
Ga: 0.245 0.245 0.356
O: 0.152 0.152 0.794
O: 0.886 0.886 0.701
Si: 0.000 0.000 0.000
O: 0.354 0.354 0.463
Ga: 0.755 0.755 0.644
O: 0.555 0.555 0.068
O: 0.445 0.445 0.932
Ga: 0.539 0.539 0.278
O: 0.114 0.114 0.299
O: 0.848 0.848 0.206


Entry 5:
A plane-wave DFT calculation with PBE was carried out for a relaxed structure of SiO2.

Computed properties:
Symmetry: Im-3m (229)
Crystal system: cubic
Corrected total energy (MP2020 scheme) (Ry/atom): -0.6149
ΔE_f (eV per atom): -3.26
Electronic total energy (eV per atom): -7.91

Cell: 7.809 7.809 7.809 Å, 109.47 109.47 109.47°
Fractional coordinates of all 18 atoms:
Si: 0.250 0.750 0.500
O: 0.648 0.295 0.648
O: 0.000 0.648 0.352
O: 0.705 0.352 0.352
O: 0.648 0.648 0.295
O: 0.295 0.648 0.648
O: 0.352 0.352 0.705
O: 0.352 0.000 0.648
Si: 0.500 0.250 0.750
Si: 0.750 0.500 0.250
Si: 0.250 0.500 0.750
O: 0.000 0.352 0.648
O: 0.352 0.648 0.000
O: 0.648 0.000 0.352
O: 0.352 0.705 0.352
Si: 0.500 0.750 0.250
Si: 0.750 0.250 0.500
O: 0.648 0.352 0.000


Entry 6:
A plane-wave DFT calculation with PBE was carried out for a relaxed structure of CaMg6V.

Computed properties:
M_tot (μB per formula unit): 3.427
ΔE_f (eV per atom): 0.19
Electronic total energy (eV per atom): -2.39

Cell: 5.192 6.508 11.258 Å, 90.00 90.00 90.00°
Fractional coordinates of all 16 atoms:
Mg: 0.000 0.500 0.835
Mg: 0.500 0.755 0.419
Mg: 0.500 0.500 0.666
Mg: 0.500 0.745 0.919
Mg: 0.500 0.245 0.419
Mg: 0.000 0.240 0.585
Mg: 0.500 0.255 0.919
Ca: 0.000 0.500 0.329
Mg: 0.500 0.000 0.166
Mg: 0.000 0.740 0.085
Ca: 0.000 0.000 0.829
Mg: 0.000 0.000 0.335
Mg: 0.000 0.260 0.085
V: 0.500 0.500 0.163
V: 0.500 0.000 0.663
Mg: 0.000 0.760 0.585